Arrangement A

A plane-wave DFT calculation with GGA+U was carried out for crystalline MgV2In2O8 at its relaxed geometry.

Cell: 5.373 5.373 6.623 Å, 90.00 90.00 113.11°
Element x y z (fractional)
1 Mg 0.659 0.341 0.750
2 V 0.643 0.357 0.250
3 V 0.340 0.660 0.750
4 In 0.001 0.999 0.497
5 In 0.001 0.999 0.003
6 O 0.239 0.761 0.529
7 O 0.758 0.242 0.018
8 O 0.758 0.242 0.482
9 O 0.239 0.761 0.971
10 O 0.733 0.745 0.750
11 O 0.274 0.215 0.250
12 O 0.785 0.726 0.250
13 O 0.255 0.267 0.750

Properties
Volume in Å³/atom: 13.5



Arrangement B

A plane-wave DFT calculation with GGA+U was carried out for crystalline MgV2In2O8 at its relaxed geometry.

Cell: 5.193 5.160 6.366 Å, 87.05 93.33 104.28°
Element x y z (fractional)
1 Mg 0.325 0.578 0.645
2 V 0.007 0.257 0.157
3 V 0.986 0.774 0.886
4 In 0.626 0.171 0.629
5 In 0.500 0.747 0.167
6 O 0.758 0.018 0.922
7 O 0.214 0.504 0.934
8 O 0.192 0.994 0.114
9 O 0.807 0.531 0.106
10 O 0.744 0.056 0.352
11 O 0.261 0.441 0.365
12 O 0.232 0.928 0.681
13 O 0.710 0.576 0.677

Properties
Volume in Å³/atom: 12.7



Ranking the structures above by energy, arrangement A is first and the second is 1.4 kJ/mol of atoms behind.